A plane-wave DFT calculation with GGA-PBE was carried out for a geometry-optimized La3Zn4Pd4 structure.

The space group is Immm (No. 71) and the conventional cell measures 4.216, 7.537 and 14.527 Å, with angles of 90.00, 90.00 and 90.00 degrees. Symmetry generates all atoms from La at (0.000, 0.000, 0.000), La at (0.000, 0.500, 0.130), Zn at (0.000, 0.309, 0.327), Pd at (0.000, 0.000, 0.216) and Pd at (0.000, 0.196, 0.500).

As for the energy of formation from the pure elements: -715.2 meV per atom.

=====

A plane-wave DFT calculation with GGA-PBE was carried out for a geometry-optimized La6Zn4Pd13 structure.

The space group is Im-3m (No. 229) and the conventional cell measures 9.786, 9.786 and 9.786 Å, with angles of 90.00, 90.00 and 90.00 degrees. Symmetry generates all atoms from La at (0.000, 0.000, 0.304), Zn at (0.250, 0.250, 0.250), Pd at (0.000, 0.000, 0.000) and Pd at (0.000, 0.330, 0.330).

As for the energy of formation from the pure elements: -814.6 meV per atom.

=====

A plane-wave DFT calculation with GGA-PBE was carried out for a geometry-optimized LaPmTl2 structure.

The space group is Fm-3m (No. 225) and the conventional cell measures 7.895, 7.895 and 7.895 Å, with angles of 90.00, 90.00 and 90.00 degrees. Symmetry generates all atoms from La at (0.000, 0.000, 0.000), Pm at (0.000, 0.000, 0.500) and Tl at (0.250, 0.250, 0.250).

As for the energy of formation from the pure elements: -406.8 meV per atom.

=====

A plane-wave DFT calculation with GGA-PBE was carried out for a geometry-optimized LaPmZn2 structure.

The space group is Fm-3m (No. 225) and the conventional cell measures 7.434, 7.434 and 7.434 Å, with angles of 90.00, 90.00 and 90.00 degrees. Symmetry generates all atoms from La at (0.000, 0.000, 0.000), Pm at (0.000, 0.000, 0.500) and Zn at (0.250, 0.250, 0.250).

As for the energy of formation from the pure elements: -315.8 meV per atom.

=====

A plane-wave DFT calculation with GGA-PBE was carried out for a geometry-optimized LaPr3 structure.

The space group is Pm-3m (No. 221) and the conventional cell measures 5.293, 5.293 and 5.293 Å, with angles of 90.00, 90.00 and 90.00 degrees. Symmetry generates all atoms from La at (0.000, 0.000, 0.000) and Pr at (0.000, 0.500, 0.500).

As for the energy of formation from the pure elements: 16.3 meV per atom.

=====

A plane-wave DFT calculation with GGA-PBE was carried out for a geometry-optimized LaPr3 structure.

The space group is I4/mmm (No. 139) and the conventional cell measures 5.290, 5.290 and 10.545 Å, with angles of 90.00, 90.00 and 90.00 degrees. Symmetry generates all atoms from La at (0.000, 0.000, 0.000), Pr at (0.000, 0.000, 0.500) and Pr at (0.000, 0.500, 0.250).

As for the energy of formation from the pure elements: 17.3 meV per atom.

=====

A plane-wave DFT calculation with GGA-PBE was carried out for a geometry-optimized LaPrZn2 structure.

The space group is Fm-3m (No. 225) and the conventional cell measures 7.473, 7.473 and 7.473 Å, with angles of 90.00, 90.00 and 90.00 degrees. Symmetry generates all atoms from La at (0.000, 0.000, 0.000), Pr at (0.000, 0.000, 0.500) and Zn at (0.250, 0.250, 0.250).

As for the energy of formation from the pure elements: -311.2 meV per atom.

=====

A plane-wave DFT calculation with GGA-PBE was carried out for a geometry-optimized La3Pt2 structure.

The space group is R-3 (No. 148, hexagonal axes) and the conventional cell measures 9.2282, 9.2282 and 17.3103 Å, with angles of 90.00, 90.00 and 120.00 degrees. Symmetry generates all atoms from La at (0.0000, 0.0000, 0.0000), La at (0.0000, 0.0000, 0.2013), La at (0.0186, 0.2618, 0.5913) and Pt at (0.0194, 0.6120, 0.5711).

As for the energy of formation from the pure elements: -972.5 meV per atom.